# 1
Ca2Cr2O5: relaxed, GGA+U.

CIF file:
```
data_Ca2Cr2O5
_cell_length_a 5.4320
_cell_length_b 10.2768
_cell_length_c 3.9293
_cell_angle_alpha 90.00
_cell_angle_beta 90.00
_cell_angle_gamma 90.00
_symmetry_space_group_name_H-M 'P 1'
_symmetry_Int_Tables_number 1
_symmetry_space_group_name_Hall 'P 1'
loop_
_atom_site_label
_atom_site_type_symbol
_atom_site_fract_x
_atom_site_fract_y
_atom_site_fract_z
Ca1 Ca 0.2071 0.1221 0.0000
Ca2 Ca 0.2929 0.6221 0.0000
Ca3 Ca 0.7071 0.3779 0.0000
Ca4 Ca 0.7929 0.8779 0.0000
Cr1 Cr 0.2340 0.3685 0.5000
Cr2 Cr 0.2660 0.8685 0.5000
Cr3 Cr 0.7340 0.1315 0.5000
Cr4 Cr 0.7660 0.6315 0.5000
O1 O 0.0000 0.0000 0.5000
O2 O 0.1007 0.7046 0.5000
O3 O 0.2088 0.3927 0.0000
O4 O 0.2912 0.8927 0.0000
O5 O 0.3993 0.2046 0.5000
O6 O 0.5000 0.5000 0.5000
O7 O 0.6007 0.7954 0.5000
O8 O 0.7088 0.1073 0.0000
O9 O 0.7912 0.6073 0.0000
O10 O 0.8993 0.2954 0.5000
```

Results
Space group: No. 55
E_form in eV/atom: -2.67
Total magnetization in μB/atom: 0.667


# 2
CaCrO2: relaxed, GGA+U.

CIF file:
```
data_CaCrO2
_cell_length_a 6.9887
_cell_length_b 6.9887
_cell_length_c 6.9887
_cell_angle_alpha 127.20
_cell_angle_beta 127.20
_cell_angle_gamma 77.92
_symmetry_space_group_name_H-M 'P 1'
_symmetry_Int_Tables_number 1
_symmetry_space_group_name_Hall 'P 1'
loop_
_atom_site_label
_atom_site_type_symbol
_atom_site_fract_x
_atom_site_fract_y
_atom_site_fract_z
Ca1 Ca 0.0000 0.0000 0.0000
Ca2 Ca 0.0000 0.0000 0.5000
Ca3 Ca 0.0000 0.5000 0.0000
Ca4 Ca 0.5000 0.0000 0.5000
Cr1 Cr 0.0000 0.5000 0.5000
Cr2 Cr 0.5000 0.0000 0.0000
Cr3 Cr 0.5000 0.5000 0.0000
Cr4 Cr 0.5000 0.5000 0.5000
O1 O 0.2224 0.2505 0.5280
O2 O 0.2224 0.6944 0.9720
O3 O 0.2505 0.2224 0.0280
O4 O 0.3056 0.7776 0.5280
O5 O 0.6944 0.2224 0.4720
O6 O 0.7495 0.7776 0.9720
O7 O 0.7776 0.3056 0.0280
O8 O 0.7776 0.7495 0.4720
```

Results
Space group: No. 141
E_form in eV/atom: -2.61
Total magnetization in μB/atom: 0.000


# 3
Ca2Cr2O5: relaxed, GGA+U.

CIF file:
```
data_Ca2Cr2O5
_cell_length_a 8.4943
_cell_length_b 8.4943
_cell_length_c 8.4943
_cell_angle_alpha 54.88
_cell_angle_beta 141.29
_cell_angle_gamma 142.65
_symmetry_space_group_name_H-M 'P 1'
_symmetry_Int_Tables_number 1
_symmetry_space_group_name_Hall 'P 1'
loop_
_atom_site_label
_atom_site_type_symbol
_atom_site_fract_x
_atom_site_fract_y
_atom_site_fract_z
Ca1 Ca 0.0222 0.1043 0.1264
Ca2 Ca 0.0222 0.3957 0.4179
Ca3 Ca 0.9778 0.6043 0.5821
Ca4 Ca 0.9778 0.8957 0.8736
Cr1 Cr 0.4732 0.7898 0.1834
Cr2 Cr 0.4912 0.4912 0.0000
Cr3 Cr 0.4912 0.9912 0.5000
Cr4 Cr 0.6063 0.2898 0.8166
O1 O 0.0136 0.6471 0.8664
O2 O 0.4095 0.1078 0.5734
O3 O 0.4095 0.3362 0.8017
O4 O 0.5013 0.2306 0.2394
O5 O 0.5013 0.7619 0.7708
O6 O 0.5345 0.6078 0.1983
O7 O 0.5345 0.8362 0.4266
O8 O 0.7807 0.1471 0.1336
O9 O 0.9912 0.2619 0.7606
O10 O 0.9912 0.7306 0.2292
```

Results
Space group: No. 46
E_form in eV/atom: -2.68
Total magnetization in μB/atom: 0.667


# 4
CaCr2O4: relaxed, GGA+U.

CIF file:
```
data_CaCr2O4
_cell_length_a 10.6873
_cell_length_b 7.6465
_cell_length_c 9.1389
_cell_angle_alpha 90.00
_cell_angle_beta 90.00
_cell_angle_gamma 90.00
_symmetry_space_group_name_H-M 'P 1'
_symmetry_Int_Tables_number 1
_symmetry_space_group_name_Hall 'P 1'
loop_
_atom_site_label
_atom_site_type_symbol
_atom_site_fract_x
_atom_site_fract_y
_atom_site_fract_z
Ca1 Ca 0.1106 0.0017 0.0000
Ca2 Ca 0.1823 0.4669 0.0308
Ca3 Ca 0.3177 0.9669 0.5308
Ca4 Ca 0.3894 0.5017 0.5000
Ca5 Ca 0.6106 0.4983 0.0000
Ca6 Ca 0.6823 0.0331 0.0308
Ca7 Ca 0.8177 0.5331 0.5308
Ca8 Ca 0.8894 0.9983 0.5000
Cr1 Cr 0.0852 0.6802 0.6587
Cr2 Cr 0.1197 0.2501 0.6904
Cr3 Cr 0.1227 0.6664 0.3185
Cr4 Cr 0.1672 0.2519 0.3512
Cr5 Cr 0.3328 0.7519 0.8512
Cr6 Cr 0.3773 0.1664 0.8185
Cr7 Cr 0.3803 0.7501 0.1904
Cr8 Cr 0.4148 0.1802 0.1587
Cr9 Cr 0.5852 0.8198 0.6587
Cr10 Cr 0.6197 0.2499 0.6904
Cr11 Cr 0.6227 0.8336 0.3185
Cr12 Cr 0.6672 0.2481 0.3512
Cr13 Cr 0.8328 0.7481 0.8512
Cr14 Cr 0.8773 0.3336 0.8185
Cr15 Cr 0.8803 0.7499 0.1904
Cr16 Cr 0.9148 0.3198 0.1587
O1 O 0.0116 0.4493 0.6420
O2 O 0.0394 0.2527 0.8825
O3 O 0.0572 0.1844 0.2031
O4 O 0.1011 0.1150 0.5128
O5 O 0.1723 0.6520 0.8374
O6 O 0.2051 0.7959 0.1619
O7 O 0.2085 0.7096 0.5064
O8 O 0.2441 0.4780 0.2847
O9 O 0.2559 0.9780 0.7847
O10 O 0.2915 0.2096 0.0064
O11 O 0.2949 0.2959 0.6619
O12 O 0.3277 0.1520 0.3374
O13 O 0.3989 0.6150 0.0128
O14 O 0.4428 0.6844 0.7031
O15 O 0.4606 0.7527 0.3825
O16 O 0.4884 0.9493 0.1420
O17 O 0.5116 0.0507 0.6420
O18 O 0.5394 0.2473 0.8825
O19 O 0.5572 0.3156 0.2031
O20 O 0.6011 0.3850 0.5128
O21 O 0.6723 0.8480 0.8374
O22 O 0.7051 0.7041 0.1619
O23 O 0.7085 0.7904 0.5064
O24 O 0.7441 0.0220 0.2847
O25 O 0.7559 0.5220 0.7847
O26 O 0.7915 0.2904 0.0064
O27 O 0.7949 0.2041 0.6619
O28 O 0.8277 0.3480 0.3374
O29 O 0.8989 0.8850 0.0128
O30 O 0.9428 0.8156 0.7031
O31 O 0.9606 0.7473 0.3825
O32 O 0.9884 0.5507 0.1420
```

Results
Space group: No. 33
E_form in eV/atom: -2.37
Total magnetization in μB/atom: 0.857


# 5
CaCr2O4: relaxed, GGA+U.

CIF file:
```
data_CaCr2O4
_cell_length_a 5.1553
_cell_length_b 5.1553
_cell_length_c 10.0965
_cell_angle_alpha 90.00
_cell_angle_beta 90.00
_cell_angle_gamma 145.63
_symmetry_space_group_name_H-M 'P 1'
_symmetry_Int_Tables_number 1
_symmetry_space_group_name_Hall 'P 1'
loop_
_atom_site_label
_atom_site_type_symbol
_atom_site_fract_x
_atom_site_fract_y
_atom_site_fract_z
Ca1 Ca 0.1114 0.8886 0.7500
Ca2 Ca 0.8886 0.1114 0.2500
Cr1 Cr 0.3657 0.6343 0.5686
Cr2 Cr 0.3657 0.6343 0.9314
Cr3 Cr 0.6343 0.3657 0.0686
Cr4 Cr 0.6343 0.3657 0.4314
O1 O 0.0000 0.0000 0.0000
O2 O 0.0000 0.0000 0.5000
O3 O 0.2647 0.7353 0.1070
O4 O 0.2647 0.7353 0.3930
O5 O 0.4424 0.5576 0.7500
O6 O 0.5576 0.4424 0.2500
O7 O 0.7353 0.2647 0.6070
O8 O 0.7353 0.2647 0.8930
```

Results
Space group: No. 63
E_form in eV/atom: -2.65
Total magnetization in μB/atom: 0.000


# 6
CaCrO4: relaxed, GGA+U.

CIF file:
```
data_CaCrO4
_cell_length_a 6.0841
_cell_length_b 6.0841
_cell_length_c 6.0841
_cell_angle_alpha 105.70
_cell_angle_beta 105.70
_cell_angle_gamma 117.32
_symmetry_space_group_name_H-M 'P 1'
_symmetry_Int_Tables_number 1
_symmetry_space_group_name_Hall 'P 1'
loop_
_atom_site_label
_atom_site_type_symbol
_atom_site_fract_x
_atom_site_fract_y
_atom_site_fract_z
Ca1 Ca 0.3750 0.6250 0.7500
Ca2 Ca 0.6250 0.3750 0.2500
Cr1 Cr 0.1250 0.8750 0.2500
Cr2 Cr 0.8750 0.1250 0.7500
O1 O 0.1439 0.7143 0.4296
O2 O 0.2152 0.2857 0.9296
O3 O 0.2857 0.2152 0.4296
O4 O 0.2857 0.8561 0.0704
O5 O 0.7143 0.1439 0.9296
O6 O 0.7143 0.7848 0.5704
O7 O 0.7848 0.7143 0.0704
O8 O 0.8561 0.2857 0.5704
```

Results
Space group: No. 141
E_form in eV/atom: -2.43


# 7
Ca2CrOsO6: relaxed, GGA+U.

CIF file:
```
data_Ca2CrOsO6
_cell_length_a 4.8785
_cell_length_b 5.4115
_cell_length_c 10.6578
_cell_angle_alpha 90.00
_cell_angle_beta 113.25
_cell_angle_gamma 90.00
_symmetry_space_group_name_H-M 'P 1'
_symmetry_Int_Tables_number 1
_symmetry_space_group_name_Hall 'P 1'
loop_
_atom_site_label
_atom_site_type_symbol
_atom_site_fract_x
_atom_site_fract_y
_atom_site_fract_z
Ca1 Ca 0.2214 0.0542 0.2427
Ca2 Ca 0.2214 0.4458 0.7427
Ca3 Ca 0.7786 0.5542 0.2573
Ca4 Ca 0.7786 0.9458 0.7573
Cr1 Cr 0.0000 0.0000 0.5000
Cr2 Cr 0.0000 0.5000 0.0000
Os1 Os 0.5000 0.0000 0.0000
Os2 Os 0.5000 0.5000 0.5000
O1 O 0.1612 0.2116 0.9224
O2 O 0.1612 0.2884 0.4224
O3 O 0.2481 0.7268 0.9345
O4 O 0.2481 0.7732 0.4345
O5 O 0.2849 0.0454 0.6739
O6 O 0.2849 0.4546 0.1739
O7 O 0.7151 0.5454 0.8261
O8 O 0.7151 0.9546 0.3261
O9 O 0.7519 0.2268 0.5655
O10 O 0.7519 0.2732 0.0655
O11 O 0.8388 0.7116 0.5776
O12 O 0.8388 0.7884 0.0776
```

Results
Space group: No. 14
E_form in eV/atom: -2.25
Total magnetization in μB/atom: 0.400


# 8
CaCr2P2O10: relaxed, GGA+U.

CIF file:
```
data_CaCr2P2O10
_cell_length_a 9.8865
_cell_length_b 8.7676
_cell_length_c 6.8686
_cell_angle_alpha 77.38
_cell_angle_beta 59.93
_cell_angle_gamma 42.69
_symmetry_space_group_name_H-M 'P 1'
_symmetry_Int_Tables_number 1
_symmetry_space_group_name_Hall 'P 1'
loop_
_atom_site_label
_atom_site_type_symbol
_atom_site_fract_x
_atom_site_fract_y
_atom_site_fract_z
Ca1 Ca 0.1250 0.1250 0.1250
Ca2 Ca 0.8750 0.8750 0.8750
Cr1 Cr 0.0000 0.5000 0.5000
Cr2 Cr 0.5000 0.0000 0.5000
Cr3 Cr 0.5000 0.5000 0.0000
Cr4 Cr 0.5000 0.5000 0.5000
P1 P 0.0830 0.0830 0.6670
P2 P 0.3330 0.3330 0.9170
P3 P 0.6670 0.6670 0.0830
P4 P 0.9170 0.9170 0.3330
O1 O 0.0505 0.2303 0.4852
O2 O 0.1184 0.4320 0.1542
O3 O 0.1542 0.7954 0.1184
O4 O 0.2046 0.8458 0.5680
O5 O 0.2303 0.0505 0.7340
O6 O 0.2660 0.5148 0.7697
O7 O 0.2889 0.2889 0.4611
O8 O 0.4320 0.1184 0.7954
O9 O 0.4611 0.4611 0.2889
O10 O 0.4852 0.7340 0.0505
O11 O 0.5148 0.2660 0.9495
O12 O 0.5389 0.5389 0.7111
O13 O 0.5680 0.8816 0.2046
O14 O 0.7111 0.7111 0.5389
O15 O 0.7340 0.4852 0.2303
O16 O 0.7697 0.9495 0.2660
O17 O 0.7954 0.1542 0.4320
O18 O 0.8458 0.2046 0.8816
O19 O 0.8816 0.5680 0.8458
O20 O 0.9495 0.7697 0.5148
```

Results
Space group: No. 70
E_form in eV/atom: -2.60
Total magnetization in μB/atom: 0.267


# 9
Ca8CrP7O28: relaxed, GGA+U.

CIF file:
```
data_Ca8CrP7O28
_cell_length_a 10.4803
_cell_length_b 10.4803
_cell_length_c 13.8248
_cell_angle_alpha 112.24
_cell_angle_beta 112.24
_cell_angle_gamma 60.15
_symmetry_space_group_name_H-M 'P 1'
_symmetry_Int_Tables_number 1
_symmetry_space_group_name_Hall 'P 1'
loop_
_atom_site_label
_atom_site_type_symbol
_atom_site_fract_x
_atom_site_fract_y
_atom_site_fract_z
Ca1 Ca 0.0271 0.9729 0.5000
Ca2 Ca 0.0572 0.5309 0.5063
Ca3 Ca 0.0999 0.1681 0.7854
Ca4 Ca 0.1681 0.0999 0.2854
Ca5 Ca 0.1840 0.6948 0.0969
Ca6 Ca 0.2056 0.2759 0.1056
Ca7 Ca 0.2759 0.2056 0.6056
Ca8 Ca 0.4761 0.5500 0.4973
Ca9 Ca 0.5309 0.0572 0.0063
Ca10 Ca 0.5500 0.4761 0.9973
Ca11 Ca 0.5789 0.6709 0.2832
Ca12 Ca 0.6709 0.5789 0.7832
Ca13 Ca 0.6898 0.7740 0.6053
Ca14 Ca 0.6948 0.1840 0.5969
Ca15 Ca 0.7740 0.6898 0.1053
Ca16 Ca 0.9729 0.0271 0.0000
Cr1 Cr 0.1216 0.6209 0.3069
Cr2 Cr 0.6209 0.1216 0.8069
P1 P 0.3064 0.8401 0.3978
P2 P 0.3077 0.3416 0.8958
P3 P 0.3416 0.3077 0.3958
P4 P 0.3884 0.8873 0.1074
P5 P 0.3992 0.9326 0.7137
P6 P 0.4341 0.4385 0.7107
P7 P 0.4385 0.4341 0.2107
P8 P 0.8065 0.8092 0.8977
P9 P 0.8092 0.8065 0.3977
P10 P 0.8401 0.3064 0.8978
P11 P 0.8873 0.3884 0.6074
P12 P 0.9018 0.9390 0.2137
P13 P 0.9326 0.3992 0.2137
P14 P 0.9390 0.9018 0.7137
O1 O 0.0036 0.4964 0.2017
O2 O 0.0085 0.2375 0.1441
O3 O 0.0115 0.2140 0.9378
O4 O 0.0117 0.3794 0.5692
O5 O 0.0233 0.9000 0.8307
O6 O 0.2140 0.0115 0.4378
O7 O 0.2308 0.8824 0.0719
O8 O 0.2334 0.3006 0.7765
O9 O 0.2340 0.7517 0.4155
O10 O 0.2375 0.0085 0.6441
O11 O 0.2497 0.4875 0.4135
O12 O 0.2571 0.2841 0.9572
O13 O 0.2597 0.5067 0.2027
O14 O 0.2664 0.4806 0.6575
O15 O 0.2806 0.5084 0.9427
O16 O 0.2841 0.2571 0.4572
O17 O 0.2956 0.8060 0.2768
O18 O 0.3006 0.2334 0.2765
O19 O 0.3794 0.0117 0.0692
O20 O 0.3865 0.9777 0.8299
O21 O 0.4200 0.9260 0.2336
O22 O 0.4536 0.5178 0.1455
O23 O 0.4745 0.7824 0.4583
O24 O 0.4747 0.5257 0.8265
O25 O 0.4774 0.7603 0.6693
O26 O 0.4806 0.2664 0.1575
O27 O 0.4875 0.2497 0.9135
O28 O 0.4964 0.0036 0.7017
O29 O 0.5067 0.2597 0.7027
O30 O 0.5084 0.2806 0.4427
O31 O 0.5136 0.7311 0.0721
O32 O 0.5177 0.4536 0.6455
O33 O 0.5257 0.4747 0.3265
O34 O 0.7128 0.7727 0.9402
O35 O 0.7297 0.7900 0.2780
O36 O 0.7311 0.5136 0.5721
O37 O 0.7309 0.9880 0.9128
O38 O 0.7436 0.9532 0.1428
O39 O 0.7517 0.2340 0.9155
O40 O 0.7593 0.9982 0.7028
O41 O 0.7603 0.4774 0.1693
O42 O 0.7712 0.9689 0.4648
O43 O 0.7727 0.7128 0.4402
O44 O 0.7824 0.4745 0.9583
O45 O 0.7900 0.7297 0.7780
O46 O 0.8060 0.2956 0.7768
O47 O 0.8824 0.2308 0.5719
O48 O 0.9000 0.0233 0.3307
O49 O 0.9260 0.4200 0.7336
O50 O 0.9532 0.7436 0.6428
O51 O 0.9689 0.7712 0.9648
O52 O 0.9777 0.3865 0.3299
O53 O 0.9818 0.9883 0.1696
O54 O 0.9880 0.7309 0.4128
O55 O 0.9883 0.9818 0.6696
O56 O 0.9982 0.7593 0.2028
```

Results
Space group: No. 9
E_form in eV/atom: -3.10
Total magnetization in μB/atom: 0.023


# 10
CaCrP4O12: relaxed, GGA+U.

CIF file:
```
data_CaCrP4O12
_cell_length_a 7.5640
_cell_length_b 7.5640
_cell_length_c 10.5818
_cell_angle_alpha 112.63
_cell_angle_beta 112.63
_cell_angle_gamma 71.56
_symmetry_space_group_name_H-M 'P 1'
_symmetry_Int_Tables_number 1
_symmetry_space_group_name_Hall 'P 1'
loop_
_atom_site_label
_atom_site_type_symbol
_atom_site_fract_x
_atom_site_fract_y
_atom_site_fract_z
Ca1 Ca 0.0396 0.9604 0.7500
Ca2 Ca 0.9604 0.0396 0.2500
Cr1 Cr 0.0000 0.5000 0.5000
Cr2 Cr 0.5000 0.0000 0.0000
P1 P 0.2694 0.7207 0.0232
P2 P 0.2793 0.7306 0.4768
P3 P 0.3023 0.3198 0.8078
P4 P 0.3198 0.3023 0.3078
P5 P 0.6802 0.6977 0.6922
P6 P 0.6977 0.6802 0.1922
P7 P 0.7207 0.2694 0.5232
P8 P 0.7306 0.2793 0.9768
O1 O 0.1068 0.8298 0.0860
O2 O 0.1410 0.2869 0.3316
O3 O 0.1702 0.8932 0.4140
O4 O 0.1911 0.6905 0.5685
O5 O 0.2019 0.3482 0.6648
O6 O 0.2283 0.5055 0.9312
O7 O 0.2869 0.1410 0.8316
O8 O 0.3095 0.8089 0.9315
O9 O 0.3214 0.5317 0.3503
O10 O 0.3482 0.2019 0.1648
O11 O 0.4683 0.6786 0.1497
O12 O 0.4945 0.7717 0.5688
O13 O 0.5055 0.2283 0.4312
O14 O 0.5317 0.3214 0.8503
O15 O 0.6518 0.7981 0.8352
O16 O 0.6786 0.4683 0.6497
O17 O 0.6905 0.1911 0.0685
O18 O 0.7131 0.8590 0.1684
O19 O 0.7717 0.4945 0.0688
O20 O 0.7981 0.6518 0.3352
O21 O 0.8089 0.3095 0.4315
O22 O 0.8298 0.1068 0.5860
O23 O 0.8590 0.7131 0.6684
O24 O 0.8932 0.1702 0.9140
```

Results
Space group: No. 15
E_form in eV/atom: -2.76
Total magnetization in μB/atom: 0.222


# 11
CaCr4P4O16: relaxed, GGA+U.

CIF file:
```
data_CaCr4P4O16
_cell_length_a 5.6499
_cell_length_b 6.4611
_cell_length_c 9.4225
_cell_angle_alpha 76.00
_cell_angle_beta 81.24
_cell_angle_gamma 79.03
_symmetry_space_group_name_H-M 'P 1'
_symmetry_Int_Tables_number 1
_symmetry_space_group_name_Hall 'P 1'
loop_
_atom_site_label
_atom_site_type_symbol
_atom_site_fract_x
_atom_site_fract_y
_atom_site_fract_z
Ca1 Ca 0.0000 0.0000 0.0000
Cr1 Cr 0.0785 0.4846 0.0325
Cr2 Cr 0.2490 0.6007 0.4074
Cr3 Cr 0.6327 0.2741 0.2509
Cr4 Cr 0.8071 0.3759 0.6141
P1 P 0.1346 0.1476 0.3597
P2 P 0.2446 0.2887 0.7273
P3 P 0.6392 0.5837 0.9158
P4 P 0.7486 0.7215 0.2860
O1 O 0.9997 0.6491 0.1964
O2 O 0.0555 0.1333 0.7363
O3 O 0.1152 0.4975 0.6259
O4 O 0.1245 0.2012 0.1869
O5 O 0.2151 0.9094 0.4122
O6 O 0.2343 0.3036 0.8914
O7 O 0.3171 0.2797 0.3908
O8 O 0.3734 0.6563 0.9775
O9 O 0.5059 0.2243 0.6653
O10 O 0.5563 0.6030 0.2510
O11 O 0.6480 0.5400 0.7644
O12 O 0.6962 0.9662 0.2198
O13 O 0.7612 0.3676 0.0249
O14 O 0.7679 0.6619 0.4520
O15 O 0.8245 0.7332 0.9234
O16 O 0.8821 0.2327 0.4355
```

Results
Space group: No. 1
E_form in eV/atom: -2.60
Total magnetization in μB/atom: 0.560